(1)
Ta2TiO6 | meta-GGA r2SCAN | relaxed

Computed properties:
energy of formation = -27.3 eV/f.u.

Geometry as POSCAR:
```
Ta2TiO6
1.0
-2.347 0.989 5.047
2.417 -3.652 3.574
4.813 3.583 4.278
O Ta Ti
12 4 2
direct
0.301 0.699 0.000
0.772 0.772 0.030
0.228 0.228 0.970
0.959 0.382 0.329
0.430 0.430 0.361
0.699 0.301 0.000
0.570 0.570 0.639
0.905 0.905 0.297
0.095 0.095 0.703
0.041 0.618 0.671
0.618 0.041 0.671
0.382 0.959 0.329
0.320 0.320 0.180
0.680 0.680 0.820
0.000 0.000 0.000
0.000 0.000 0.500
0.653 0.653 0.346
0.347 0.347 0.654
```

***

(2)
TaTiO4 | meta-GGA r2SCAN | relaxed

Computed properties:
energy of formation = -18.9 eV/f.u.

Geometry as POSCAR:
```
TaTiO4
1.0
5.625 0.128 0.044
-2.337 0.097 5.118
-1.538 -4.830 -2.444
O Ti Ta
8 2 2
direct
0.534 0.737 0.796
0.060 0.259 0.801
0.458 0.259 0.199
0.941 0.737 0.204
0.509 0.208 0.699
0.987 0.691 0.704
0.987 0.284 0.296
0.509 0.810 0.301
0.998 0.998 0.000
0.248 0.748 0.500
0.510 0.510 0.000
0.760 0.260 0.500
```

***

(3)
TaTiO4 | meta-GGA r2SCAN | relaxed

Computed properties:
energy of formation = -18.7 eV/f.u.

Geometry as POSCAR:
```
TaTiO4
1.0
-0.622 0.851 4.600
-2.469 -4.011 0.302
2.549 -1.522 0.626
Ti O Ta
1 4 1
direct
0.500 0.500 0.500
0.302 0.302 0.000
0.197 0.803 0.500
0.803 0.197 0.500
0.698 0.698 0.000
0.000 0.000 0.000
```

***

(4)
YbTaTiO6 | meta-GGA r2SCAN | relaxed

Computed properties:
energy of formation = -31.6 eV/f.u.

Geometry as POSCAR:
```
YbTaTiO6
1.0
14.538 0.000 0.000
0.000 5.138 -0.016
0.000 0.000 5.518
O Yb Ta Ti
24 4 4 4
direct
0.409 0.474 0.937
0.759 0.142 0.631
0.591 0.526 0.063
0.241 0.858 0.369
0.592 0.026 0.927
0.761 0.645 0.367
0.908 0.026 0.427
0.085 0.578 0.914
0.909 0.526 0.563
0.415 0.578 0.414
0.092 0.974 0.573
0.917 0.921 0.910
0.583 0.921 0.410
0.417 0.079 0.590
0.408 0.974 0.073
0.083 0.079 0.090
0.239 0.355 0.633
0.259 0.858 0.869
0.739 0.645 0.867
0.091 0.474 0.437
0.915 0.422 0.086
0.741 0.142 0.131
0.261 0.355 0.133
0.585 0.422 0.586
0.000 0.255 0.772
0.500 0.745 0.728
0.500 0.255 0.272
0.000 0.745 0.228
0.833 0.818 0.678
0.333 0.182 0.822
0.667 0.818 0.178
0.167 0.182 0.322
0.164 0.687 0.689
0.664 0.313 0.811
0.836 0.313 0.311
0.336 0.687 0.189
```

***

(5)
TaTlO3 | meta-GGA r2SCAN | relaxed

Computed properties:
energy of formation = -12.4 eV/f.u.

Geometry as POSCAR:
```
TaTlO3
1.0
-1.818 -2.142 7.003
-3.641 4.767 4.578
-7.216 -1.271 1.803
O Ta Tl
12 4 4
direct
0.436 0.064 0.064
0.814 0.186 0.186
0.436 0.436 0.064
0.436 0.064 0.436
0.064 0.436 0.436
0.186 0.186 0.814
0.064 0.436 0.064
0.064 0.064 0.436
0.814 0.186 0.814
0.186 0.814 0.186
0.186 0.814 0.814
0.814 0.814 0.186
0.125 0.125 0.625
0.125 0.625 0.125
0.125 0.125 0.125
0.625 0.125 0.125
0.625 0.625 0.625
0.625 0.125 0.625
0.625 0.625 0.125
0.125 0.625 0.625
```

***

(6)
TaTlO3 | meta-GGA r2SCAN | relaxed

Computed properties:
energy of formation = -12.4 eV/f.u.

Geometry as POSCAR:
```
TaTlO3
1.0
-6.376 -3.870 1.106
-4.601 -1.420 -5.803
2.275 -12.296 -3.775
O Tl Ta
24 8 8
direct
0.590 0.099 0.345
0.279 0.407 0.034
0.780 0.911 0.529
0.463 0.594 0.846
0.098 0.970 0.843
0.594 0.463 0.346
0.099 0.590 0.845
0.407 0.279 0.534
0.406 0.537 0.654
0.911 0.780 0.029
0.901 0.410 0.155
0.220 0.089 0.471
0.280 0.780 0.030
0.410 0.901 0.655
0.902 0.030 0.157
0.030 0.902 0.657
0.970 0.098 0.343
0.089 0.220 0.971
0.721 0.593 0.966
0.220 0.720 0.470
0.593 0.721 0.466
0.537 0.406 0.154
0.720 0.220 0.970
0.780 0.280 0.530
0.329 0.193 0.759
0.671 0.807 0.241
0.236 0.764 0.250
0.000 0.500 0.500
0.764 0.236 0.750
0.193 0.329 0.259
0.807 0.671 0.741
0.500 0.000 0.000
0.748 0.252 0.250
0.500 0.000 0.500
0.000 0.500 0.000
0.000 0.000 0.500
0.500 0.500 0.500
0.500 0.500 0.000
0.252 0.748 0.750
0.000 0.000 0.000
```

***

(7)
Tm3TaO7 | meta-GGA r2SCAN | relaxed

Computed properties:
energy of formation = -41.7 eV/f.u.

Geometry as POSCAR:
```
Tm3TaO7
1.0
3.708 -5.168 0.000
3.708 5.168 0.000
0.000 0.000 7.322
Tm O Ta
6 14 2
direct
0.535 0.001 0.759
0.536 0.536 0.500
0.001 0.535 0.241
0.464 0.464 0.000
0.465 0.999 0.259
0.999 0.465 0.741
0.629 0.371 0.250
0.360 0.640 0.250
0.640 0.360 0.750
0.311 0.052 0.546
0.332 0.085 0.975
0.668 0.915 0.475
0.915 0.668 0.525
0.948 0.689 0.954
0.052 0.311 0.454
0.085 0.332 0.025
0.927 0.073 0.750
0.073 0.927 0.250
0.371 0.629 0.750
0.689 0.948 0.046
0.002 0.002 0.500
0.998 0.998 0.000
```

***

(8)
Y3TaO7 | meta-GGA r2SCAN | relaxed

Computed properties:
distance to the lowest polymorph of the same formula = 76 meV/atom
energy of formation = -40.2 eV/f.u.

Geometry as POSCAR:
```
Y3TaO7
1.0
-4.915 -2.027 0.723
2.678 -6.968 0.197
1.877 -2.953 7.420
O Y Ta
14 6 2
direct
0.273 0.508 0.523
0.211 0.071 0.708
0.270 0.382 0.245
0.683 0.969 0.548
0.284 0.263 0.949
0.164 0.991 0.375
0.655 0.137 0.795
0.786 0.499 0.792
0.770 0.355 0.209
0.745 0.879 0.230
0.271 0.783 0.024
0.745 0.469 0.497
0.335 0.667 0.749
0.759 0.764 0.947
0.992 0.228 0.463
0.959 0.726 0.506
0.056 0.521 0.995
0.989 0.015 0.974
0.539 0.599 0.241
0.497 0.125 0.239
0.503 0.405 0.720
0.491 0.889 0.776
```